Record 1
Material: La2SbI2
Method: DFT, r2SCAN
State: optimized geometry

Unit cell a=4.5797 b=4.5797 c=11.2361 alpha=90.00 beta=90.00 gamma=120.00
Positions (direct):
La 0.3333 0.6667 0.1602
La 0.6667 0.3333 0.8398
Sb 0.0000 0.0000 0.0000
I 0.3333 0.6667 0.6607
I 0.6667 0.3333 0.3393

Crystal system: trigonal
Total energy: -28.530 eV/atom
Calculated formation energy: -1668 meV per atom

***

Record 2
Material: LiCa2Cd
Method: DFT, r2SCAN
State: optimized geometry

Unit cell a=7.7438 b=7.7438 c=7.7438 alpha=90.00 beta=90.00 gamma=90.00
Positions (direct):
Li 0.0000 0.0000 0.0000
Li 0.0000 0.5000 0.5000
Li 0.5000 0.0000 0.5000
Li 0.5000 0.5000 0.0000
Ca 0.2500 0.2500 0.2500
Ca 0.2500 0.2500 0.7500
Ca 0.2500 0.7500 0.2500
Ca 0.2500 0.7500 0.7500
Ca 0.7500 0.2500 0.2500
Ca 0.7500 0.2500 0.7500
Ca 0.7500 0.7500 0.2500
Ca 0.7500 0.7500 0.7500
Cd 0.0000 0.0000 0.5000
Cd 0.0000 0.5000 0.0000
Cd 0.5000 0.0000 0.0000
Cd 0.5000 0.5000 0.5000

Crystal system: cubic
Total energy: -9.342 eV/atom
Calculated formation energy: -200 meV per atom

***

Record 3
Material: SiO2
Method: DFT, r2SCAN
State: optimized geometry

Unit cell a=7.3006 b=7.3006 c=7.0051 alpha=90.00 beta=90.00 gamma=120.00
Positions (direct):
Si 0.2331 0.4661 0.2500
Si 0.2331 0.7669 0.5833
Si 0.4661 0.2331 0.4167
Si 0.5339 0.7669 0.9167
Si 0.7669 0.2331 0.0833
Si 0.7669 0.5339 0.7500
O 0.0000 0.3171 0.1667
O 0.0000 0.6829 0.6667
O 0.2247 0.6123 0.4167
O 0.3171 0.0000 0.5000
O 0.3171 0.3171 0.3333
O 0.3877 0.6123 0.0833
O 0.3877 0.7753 0.7500
O 0.6123 0.2247 0.2500
O 0.6123 0.3877 0.5833
O 0.6829 0.0000 0.0000
O 0.6829 0.6829 0.8333
O 0.7753 0.3877 0.9167

Crystal system: hexagonal
Total energy: -9.927 eV/atom
Calculated formation energy: -3021 meV per atom

***

Record 4
Material: Fe7Pb7F34
Method: DFT, r2SCAN
State: optimized geometry

Unit cell a=9.8726 b=9.8726 c=7.6434 alpha=100.27 beta=100.27 gamma=68.80
Positions (direct):
Fe 0.0000 0.0000 0.0000
Fe 0.1482 0.6396 0.6979
Fe 0.3364 0.3364 0.9649
Fe 0.3604 0.8518 0.3021
Fe 0.6396 0.1482 0.6979
Fe 0.6636 0.6636 0.0351
Fe 0.8518 0.3604 0.3021
Pb 0.0474 0.6553 0.2067
Pb 0.2400 0.2400 0.4028
Pb 0.3447 0.9526 0.7933
Pb 0.5000 0.5000 0.5000
Pb 0.6553 0.0474 0.2067
Pb 0.7600 0.7600 0.5972
Pb 0.9526 0.3447 0.7933
F 0.0041 0.7454 0.5136
F 0.0136 0.5384 0.6950
F 0.0484 0.7925 0.8802
F 0.0692 0.0692 0.8205
F 0.1440 0.3874 0.0359
F 0.2075 0.9516 0.1198
F 0.2418 0.4899 0.5074
F 0.2526 0.2526 0.7284
F 0.2546 0.9959 0.4864
F 0.2761 0.7084 0.3119
F 0.2788 0.5277 0.8872
F 0.2916 0.7239 0.6881
F 0.3874 0.1440 0.0359
F 0.3995 0.3995 0.2026
F 0.4616 0.9864 0.3050
F 0.4723 0.7212 0.1128
F 0.4899 0.2418 0.5074
F 0.5101 0.7582 0.4926
F 0.5277 0.2788 0.8872
F 0.5384 0.0136 0.6950
F 0.6005 0.6005 0.7974
F 0.6126 0.8560 0.9641
F 0.7084 0.2761 0.3119
F 0.7212 0.4723 0.1128
F 0.7239 0.2916 0.6881
F 0.7454 0.0041 0.5136
F 0.7474 0.7474 0.2716
F 0.7582 0.5101 0.4926
F 0.7925 0.0484 0.8802
F 0.8560 0.6126 0.9641
F 0.9308 0.9308 0.1795
F 0.9516 0.2075 0.1198
F 0.9864 0.4616 0.3050
F 0.9959 0.2546 0.4864

Crystal system: monoclinic
Total energy: -15.096 eV/atom
Calculated formation energy: -2571 meV per atom

***

Record 5
Material: YP5O14
Method: DFT, r2SCAN
State: optimized geometry

Unit cell a=9.0691 b=9.0691 c=12.4179 alpha=90.91 beta=90.91 gamma=89.57
Positions (direct):
Y 0.0208 0.9792 0.7500
Y 0.4684 0.5316 0.7500
Y 0.5316 0.4684 0.2500
Y 0.9792 0.0208 0.2500
P 0.0192 0.6828 0.3971
P 0.0711 0.5733 0.7403
P 0.1131 0.1805 0.9987
P 0.1805 0.1131 0.4987
P 0.1817 0.4546 0.1090
P 0.3172 0.9808 0.1029
P 0.3237 0.6263 0.4669
P 0.3737 0.6763 0.0331
P 0.4267 0.9289 0.7597
P 0.4546 0.1817 0.6090
P 0.5454 0.8183 0.3910
P 0.5733 0.0711 0.2403
P 0.6263 0.3237 0.9669
P 0.6763 0.3737 0.5331
P 0.6828 0.0192 0.8971
P 0.8183 0.5454 0.8910
P 0.8195 0.8869 0.5013
P 0.8869 0.8195 0.0013
P 0.9289 0.4267 0.2597
P 0.9808 0.3172 0.6029
O 0.0075 0.4810 0.6370
O 0.0118 0.1424 0.0859
O 0.0319 0.4845 0.1645
O 0.0392 0.7822 0.3076
O 0.0407 0.7285 0.7158
O 0.0772 0.1515 0.8852
O 0.1116 0.2762 0.5271
O 0.1424 0.0118 0.5859
O 0.1484 0.3539 0.0079
O 0.1515 0.0772 0.3852
O 0.1533 0.6739 0.4777
O 0.2117 0.6063 0.0556
O 0.2178 0.9608 0.1924
O 0.2200 0.5210 0.7693
O 0.2715 0.9593 0.7842
O 0.2762 0.1116 0.0271
O 0.2989 0.3958 0.1782
O 0.3261 0.8467 0.0223
O 0.3420 0.5361 0.3677
O 0.3539 0.1484 0.5079
O 0.3728 0.5762 0.5733
O 0.3937 0.7883 0.4444
O 0.3958 0.2989 0.6782
O 0.4238 0.6272 0.9267
O 0.4639 0.6580 0.1323
O 0.4790 0.7800 0.7307
O 0.4810 0.0075 0.1370
O 0.4845 0.0319 0.6645
O 0.5155 0.9681 0.3355
O 0.5190 0.9925 0.8630
O 0.5210 0.2200 0.2693
O 0.5361 0.3420 0.8677
O 0.5762 0.3728 0.0733
O 0.6042 0.7011 0.3218
O 0.6063 0.2117 0.5556
O 0.6272 0.4238 0.4267
O 0.6461 0.8516 0.4921
O 0.6580 0.4639 0.6323
O 0.6739 0.1533 0.9777
O 0.7011 0.6042 0.8218
O 0.7238 0.8884 0.9729
O 0.7285 0.0407 0.2158
O 0.7800 0.4790 0.2307
O 0.7822 0.0392 0.8076
O 0.7883 0.3937 0.9444
O 0.8467 0.3261 0.5223
O 0.8485 0.9228 0.6148
O 0.8516 0.6461 0.9921
O 0.8576 0.9882 0.4141
O 0.8884 0.7238 0.4729
O 0.9228 0.8485 0.1148
O 0.9593 0.2715 0.2842
O 0.9608 0.2178 0.6924
O 0.9681 0.5155 0.8355
O 0.9882 0.8576 0.9141
O 0.9925 0.5190 0.3630

Crystal system: monoclinic
Total energy: -10.017 eV/atom
Calculated formation energy: -2570 meV per atom

***

Record 6
Material: Hf2MnRh
Method: DFT, r2SCAN
State: optimized geometry

Unit cell a=6.3850 b=6.3850 c=6.3850 alpha=90.00 beta=90.00 gamma=90.00
Positions (direct):
Hf 0.2500 0.2500 0.2500
Hf 0.2500 0.2500 0.7500
Hf 0.2500 0.7500 0.2500
Hf 0.2500 0.7500 0.7500
Hf 0.7500 0.2500 0.2500
Hf 0.7500 0.2500 0.7500
Hf 0.7500 0.7500 0.2500
Hf 0.7500 0.7500 0.7500
Mn 0.0000 0.0000 0.0000
Mn 0.0000 0.5000 0.5000
Mn 0.5000 0.0000 0.5000
Mn 0.5000 0.5000 0.0000
Rh 0.0000 0.0000 0.5000
Rh 0.0000 0.5000 0.0000
Rh 0.5000 0.0000 0.0000
Rh 0.5000 0.5000 0.5000

Crystal system: cubic
Total energy: -32.828 eV/atom
Calculated formation energy: -548 meV per atom

***

Record 7
Material: Tm2CuOs
Method: DFT, r2SCAN
State: optimized geometry

Unit cell a=6.7181 b=6.7181 c=6.7181 alpha=90.00 beta=90.00 gamma=90.00
Positions (direct):
Tm 0.2500 0.2500 0.2500
Tm 0.2500 0.2500 0.7500
Tm 0.2500 0.7500 0.2500
Tm 0.2500 0.7500 0.7500
Tm 0.7500 0.2500 0.2500
Tm 0.7500 0.2500 0.7500
Tm 0.7500 0.7500 0.2500
Tm 0.7500 0.7500 0.7500
Cu 0.0000 0.0000 0.0000
Cu 0.0000 0.5000 0.5000
Cu 0.5000 0.0000 0.5000
Cu 0.5000 0.5000 0.0000
Os 0.0000 0.0000 0.5000
Os 0.0000 0.5000 0.0000
Os 0.5000 0.0000 0.0000
Os 0.5000 0.5000 0.5000

Crystal system: cubic
Total energy: -33.903 eV/atom
Calculated formation energy: -385 meV per atom

***

Record 8
Material: VHg2O4
Method: DFT, r2SCAN
State: optimized geometry

Unit cell a=3.6540 b=16.7202 c=14.8468 alpha=90.00 beta=104.16 gamma=90.00
Positions (direct):
V 0.1161 0.1776 0.1190
V 0.1161 0.3224 0.6190
V 0.3741 0.6721 0.8705
V 0.3741 0.8279 0.3705
V 0.6259 0.1721 0.6295
V 0.6259 0.3279 0.1295
V 0.8839 0.6776 0.3810
V 0.8839 0.8224 0.8810
Hg 0.0000 0.0000 0.5000
Hg 0.0000 0.5000 0.0000
Hg 0.2421 0.5054 0.2489
Hg 0.2421 0.9946 0.7489
Hg 0.3568 0.1791 0.8742
Hg 0.3568 0.3209 0.3742
Hg 0.4936 0.1694 0.3762
Hg 0.4936 0.3306 0.8762
Hg 0.5000 0.0000 0.0000
Hg 0.5000 0.5000 0.5000
Hg 0.5064 0.6694 0.1238
Hg 0.5064 0.8306 0.6238
Hg 0.6432 0.6791 0.6258
Hg 0.6432 0.8209 0.1258
Hg 0.7579 0.0054 0.2511
Hg 0.7579 0.4946 0.7511
O 0.0156 0.1279 0.0195
O 0.0156 0.3721 0.5195
O 0.1189 0.2039 0.6219
O 0.1189 0.2961 0.1219
O 0.1304 0.5661 0.1242
O 0.1304 0.9339 0.6242
O 0.2097 0.1123 0.2071
O 0.2097 0.3877 0.7071
O 0.2777 0.6239 0.7702
O 0.2777 0.8761 0.2702
O 0.2976 0.0519 0.8738
O 0.2976 0.4481 0.3738
O 0.3772 0.7096 0.3746
O 0.3772 0.7904 0.8746
O 0.4576 0.6051 0.9574
O 0.4576 0.8949 0.4574
O 0.5424 0.1051 0.5426
O 0.5424 0.3949 0.0426
O 0.6228 0.2096 0.1254
O 0.6228 0.2904 0.6254
O 0.7024 0.5519 0.6262
O 0.7024 0.9481 0.1262
O 0.7223 0.1239 0.7298
O 0.7223 0.3761 0.2298
O 0.7903 0.6123 0.2929
O 0.7903 0.8877 0.7929
O 0.8696 0.0661 0.3758
O 0.8696 0.4339 0.8758
O 0.8811 0.7039 0.8781
O 0.8811 0.7961 0.3781
O 0.9844 0.6279 0.4805
O 0.9844 0.8721 0.9805

Crystal system: monoclinic
Total energy: -20.972 eV/atom
Calculated formation energy: -1441 meV per atom

***

Record 9
Material: Ti2Rh
Method: DFT, r2SCAN
State: optimized geometry

Unit cell a=3.0520 b=3.0520 c=9.8159 alpha=90.00 beta=90.00 gamma=90.00
Positions (direct):
Ti 0.0000 0.0000 0.1616
Ti 0.0000 0.0000 0.8384
Ti 0.5000 0.5000 0.3384
Ti 0.5000 0.5000 0.6616
Rh 0.0000 0.0000 0.5000
Rh 0.5000 0.5000 0.0000

Crystal system: tetragonal
Total energy: -17.336 eV/atom
Calculated formation energy: -665 meV per atom

***

Record 10
Material: CeCuSb2
Method: DFT, r2SCAN
State: optimized geometry

Unit cell a=4.3824 b=4.3824 c=10.1035 alpha=90.00 beta=90.00 gamma=90.00
Positions (direct):
Ce 0.2500 0.2500 0.2496
Ce 0.7500 0.7500 0.7504
Cu 0.2500 0.7500 0.0000
Cu 0.7500 0.2500 0.0000
Sb 0.2500 0.2500 0.8514
Sb 0.2500 0.7500 0.5000
Sb 0.7500 0.2500 0.5000
Sb 0.7500 0.7500 0.1486

Crystal system: tetragonal
Total energy: -24.052 eV/atom
Calculated formation energy: -777 meV per atom

***

Record 11
Material: Ba3SiO
Method: DFT, r2SCAN
State: optimized geometry

Unit cell a=7.6982 b=10.8088 c=7.5766 alpha=90.00 beta=90.00 gamma=90.00
Positions (direct):
Ba 0.0178 0.2500 0.0761
Ba 0.2104 0.0398 0.7101
Ba 0.2104 0.4602 0.7101
Ba 0.2896 0.5398 0.2101
Ba 0.2896 0.9602 0.2101
Ba 0.4822 0.7500 0.5761
Ba 0.5178 0.2500 0.4239
Ba 0.7104 0.0398 0.7899
Ba 0.7104 0.4602 0.7899
Ba 0.7896 0.5398 0.2899
Ba 0.7896 0.9602 0.2899
Ba 0.9822 0.7500 0.9239
Si 0.0375 0.7500 0.4886
Si 0.4625 0.2500 0.9886
Si 0.5375 0.7500 0.0114
Si 0.9625 0.2500 0.5114
O 0.0000 0.0000 0.0000
O 0.0000 0.5000 0.0000
O 0.5000 0.0000 0.5000
O 0.5000 0.5000 0.5000

Crystal system: orthorhombic
Total energy: -20.168 eV/atom
Calculated formation energy: -1319 meV per atom

***

Record 12
Material: CaB4
Method: DFT, r2SCAN
State: optimized geometry

Unit cell a=7.1539 b=7.1539 c=4.0923 alpha=90.00 beta=90.00 gamma=90.00
Positions (direct):
Ca 0.1861 0.3139 0.0000
Ca 0.3139 0.8139 0.0000
Ca 0.6861 0.1861 0.0000
Ca 0.8139 0.6861 0.0000
B 0.0000 0.0000 0.2061
B 0.0000 0.0000 0.7939
B 0.0360 0.8250 0.5000
B 0.0853 0.5853 0.5000
B 0.1750 0.0360 0.5000
B 0.3250 0.5360 0.5000
B 0.4147 0.0853 0.5000
B 0.4640 0.3250 0.5000
B 0.5000 0.5000 0.2061
B 0.5000 0.5000 0.7939
B 0.5360 0.6750 0.5000
B 0.5853 0.9147 0.5000
B 0.6750 0.4640 0.5000
B 0.8250 0.9640 0.5000
B 0.9147 0.4147 0.5000
B 0.9640 0.1750 0.5000

Crystal system: tetragonal
Total energy: -7.745 eV/atom
Calculated formation energy: -461 meV per atom

***

Record 13
Material: Te2Ir
Method: DFT, r2SCAN
State: optimized geometry

Unit cell a=10.2252 b=10.2252 c=5.4056 alpha=90.37 beta=90.37 gamma=22.72
Positions (direct):
Te 0.0442 0.0442 0.2219
Te 0.2808 0.2808 0.7617
Te 0.3790 0.3790 0.2866
Te 0.6210 0.6210 0.7134
Te 0.7192 0.7192 0.2383
Te 0.9558 0.9558 0.7781
Ir 0.1593 0.1593 0.9980
Ir 0.5000 0.5000 0.5000
Ir 0.8407 0.8407 0.0020

Crystal system: monoclinic
Total energy: -34.761 eV/atom
Calculated formation energy: -363 meV per atom

***

Record 14
Material: LiYbPb2
Method: DFT, r2SCAN
State: optimized geometry

Unit cell a=7.4112 b=7.4112 c=7.4112 alpha=90.00 beta=90.00 gamma=90.00
Positions (direct):
Li 0.0000 0.0000 0.0000
Li 0.0000 0.5000 0.5000
Li 0.5000 0.0000 0.5000
Li 0.5000 0.5000 0.0000
Yb 0.0000 0.0000 0.5000
Yb 0.0000 0.5000 0.0000
Yb 0.5000 0.0000 0.0000
Yb 0.5000 0.5000 0.5000
Pb 0.2500 0.2500 0.2500
Pb 0.2500 0.2500 0.7500
Pb 0.2500 0.7500 0.2500
Pb 0.2500 0.7500 0.7500
Pb 0.7500 0.2500 0.2500
Pb 0.7500 0.2500 0.7500
Pb 0.7500 0.7500 0.2500
Pb 0.7500 0.7500 0.7500

Crystal system: cubic
Total energy: -38.234 eV/atom
Calculated formation energy: -363 meV per atom

***

Record 15
Material: Li6Co5O10
Method: DFT, r2SCAN
State: optimized geometry

Unit cell a=5.2378 b=5.2666 c=8.2343 alpha=78.45 beta=89.32 gamma=74.40
Positions (direct):
Li 0.0000 0.0000 0.0000
Li 0.0163 0.1241 0.2970
Li 0.4517 0.9818 0.8030
Li 0.4683 0.1059 0.0997
Li 0.5026 0.1011 0.4739
Li 0.9656 0.0048 0.6261
Co 0.1256 0.5884 0.3493
Co 0.3448 0.5170 0.7504
Co 0.5255 0.5737 0.1472
Co 0.7355 0.5526 0.5499
Co 0.9446 0.5325 0.9524
O 0.0205 0.3209 0.4827
O 0.1088 0.7707 0.8372
O 0.2211 0.2682 0.8982
O 0.2484 0.8378 0.2013
O 0.3618 0.3351 0.2624
O 0.4508 0.7841 0.6173
O 0.5941 0.2771 0.6525
O 0.6803 0.8036 0.0083
O 0.7898 0.3028 0.0915
O 0.8765 0.8282 0.4473

Crystal system: triclinic
Total energy: -8.276 eV/atom
Calculated formation energy: -1599 meV per atom